Below is a relaxed Tb10B2Br15 crystal, with properties calculated at the PBE level.

POSCAR file:
```
Tb10B2Br15
1.0
-4.162 -6.160 -5.244
8.339 3.138 -4.238
5.476 -4.141 8.238
Tb B Br
10 2 15
direct
0.799 0.408 0.275
0.201 0.592 0.725
0.674 0.747 0.822
0.326 0.253 0.178
0.525 0.705 0.094
0.475 0.295 0.906
0.585 0.041 0.323
0.415 0.959 0.677
0.721 0.074 0.048
0.279 0.926 0.952
0.467 0.820 0.877
0.533 0.180 0.123
0.000 0.000 0.000
0.638 0.883 0.584
0.362 0.117 0.416
0.884 0.300 0.529
0.116 0.700 0.471
0.290 0.762 0.180
0.710 0.238 0.820
0.056 0.342 0.227
0.165 0.058 0.702
0.835 0.942 0.298
0.231 0.410 0.943
0.769 0.590 0.057
0.408 0.463 0.659
0.592 0.537 0.341
0.944 0.658 0.773
```

Crystal system: triclinic

Below is a relaxed Tb3BBr3 crystal, with properties calculated at the PBE level.

POSCAR file:
```
Tb3BBr3
1.0
-6.807 -3.101 6.354
-2.157 9.121 -2.913
0.166 -5.969 -7.789
Tb B Br
12 4 12
direct
0.461 0.480 0.230
0.750 0.230 0.270
0.750 0.020 0.480
0.230 0.461 0.480
0.270 0.750 0.230
0.039 0.270 0.020
0.020 0.039 0.270
0.480 0.750 0.020
0.480 0.230 0.461
0.020 0.480 0.750
0.270 0.020 0.039
0.230 0.270 0.750
0.250 0.250 0.250
0.500 0.000 0.250
0.000 0.250 0.500
0.250 0.500 0.000
0.250 0.758 0.742
0.516 0.508 0.758
0.984 0.742 0.992
0.742 0.250 0.758
0.992 0.984 0.742
0.250 0.992 0.508
0.758 0.516 0.508
0.508 0.250 0.992
0.758 0.742 0.250
0.742 0.992 0.984
0.992 0.508 0.250
0.508 0.758 0.516
```

Crystal system: cubic

| no. | electronic total energy (eV per atom) |
| --- | --- |
| 1 | -4.66 |
| 2 | -4.93 |